Computed, not measured: crystalline DyAlFe at its relaxed geometry at the PBE-GGA level of DFT.

Cell and atoms, written as POSCAR:
```
DyAlFe
1.0
-2.620 -4.623 0.000
-5.313 0.043 0.000
0.000 0.000 -8.691
Dy Al Fe
4 4 4
Direct
0.334 0.334 0.555
0.668 0.668 0.426
0.668 0.668 0.074
0.334 0.334 0.945
0.995 0.995 0.484
0.995 0.995 0.016
0.834 0.340 0.750
0.340 0.834 0.750
0.833 0.833 0.750
0.181 0.643 0.250
0.643 0.181 0.250
0.174 0.174 0.250
```

Magnetization, μB/f.u.: 1.59
Energy of formation from the pure elements, eV/atom: -0.294
Space-group type: Amm2 (38)


Computed, not measured: crystalline DyAl10Fe2 at its relaxed geometry at the PBE-GGA level of DFT.

Cell and atoms, written as POSCAR:
```
DyAl10Fe2
1.0
4.465 -5.057 0.000
4.465 5.057 0.000
0.000 0.000 8.968
Dy Al Fe
2 20 4
Direct
0.875 0.125 0.750
0.125 0.875 0.250
0.626 0.374 0.547
0.374 0.626 0.453
0.374 0.626 0.047
0.626 0.374 0.953
0.227 0.227 0.500
0.773 0.773 0.500
0.773 0.773 0.000
0.227 0.227 0.000
0.843 0.157 0.097
0.157 0.843 0.903
0.157 0.843 0.597
0.843 0.157 0.403
0.866 0.585 0.750
0.134 0.415 0.250
0.415 0.134 0.750
0.585 0.866 0.250
0.220 0.477 0.750
0.780 0.523 0.250
0.523 0.780 0.750
0.477 0.220 0.250
0.000 0.500 0.500
0.000 0.500 0.000
0.500 0.000 0.000
0.500 0.000 0.500
```

Energy of formation from the pure elements, eV/atom: -0.356
Space-group type: Cmcm (63)


Computed, not measured: crystalline DyAl7Fe5 at its relaxed geometry at the PBE-GGA level of DFT.

Cell and atoms, written as POSCAR:
```
DyAl7Fe5
1.0
-2.508 4.318 4.329
2.508 -4.318 4.329
2.508 4.318 -4.329
Dy Al Fe
1 7 5
Direct
0.005 0.000 0.005
0.660 0.000 0.660
0.339 0.000 0.339
0.334 0.343 0.992
0.649 0.657 0.992
0.775 0.500 0.275
0.793 0.289 0.504
0.216 0.711 0.504
0.499 0.498 0.496
0.499 0.003 0.001
0.998 0.997 0.496
0.998 0.502 0.001
0.235 0.500 0.735
```

Energy of formation from the pure elements, eV/atom: -0.397
Space-group type: Imm2 (44)